# 1
{
  "formula": "Ba14Y7Cu20O42",
  "functional": "PBE-GGA",
  "state": "relaxed",
  "cell": [[8.671, 0.000, 0.000], [-1.762, 12.117, 0.000], [-3.465, -1.730, 12.124]],
  "species": ["Ba", "Ba", "Ba", "Ba", "Ba", "Ba", "Ba", "Ba", "Ba", "Ba", "Ba", "Ba", "Ba", "Ba", "Y", "Y", "Y", "Y", "Y", "Y", "Y", "Cu", "Cu", "Cu", "Cu", "Cu", "Cu", "Cu", "Cu", "Cu", "Cu", "Cu", "Cu", "Cu", "Cu", "Cu", "Cu", "Cu", "Cu", "Cu", "Cu", "O", "O", "O", "O", "O", "O", "O", "O", "O", "O", "O", "O", "O", "O", "O", "O", "O", "O", "O", "O", "O", "O", "O", "O", "O", "O", "O", "O", "O", "O", "O", "O", "O", "O", "O", "O", "O", "O", "O", "O", "O", "O"],
  "frac_coords": [[0.000, 0.000, 0.000], [0.020, 0.345, 0.396], [0.141, 0.724, 0.000], [0.164, 0.060, 0.398], [0.282, 0.432, 0.006], [0.307, 0.774, 0.398], [0.417, 0.139, 0.000], [0.449, 0.488, 0.397], [0.558, 0.863, 0.000], [0.592, 0.203, 0.397], [0.711, 0.577, 0.006], [0.735, 0.917, 0.398], [0.851, 0.288, 0.006], [0.877, 0.631, 0.398], [0.014, 0.682, 0.705], [0.150, 0.388, 0.699], [0.291, 0.096, 0.705], [0.430, 0.821, 0.705], [0.580, 0.531, 0.700], [0.721, 0.246, 0.700], [0.875, 0.958, 0.705], [0.065, 0.196, 0.834], [0.079, 0.532, 0.200], [0.091, 0.869, 0.562], [0.222, 0.246, 0.201], [0.235, 0.584, 0.565], [0.350, 0.619, 0.833], [0.367, 0.961, 0.206], [0.378, 0.297, 0.566], [0.495, 0.337, 0.837], [0.508, 0.674, 0.201], [0.522, 0.012, 0.565], [0.639, 0.052, 0.832], [0.650, 0.388, 0.200], [0.664, 0.727, 0.566], [0.776, 0.763, 0.832], [0.794, 0.103, 0.201], [0.808, 0.442, 0.566], [0.924, 0.480, 0.838], [0.936, 0.817, 0.200], [0.950, 0.155, 0.565], [0.001, 0.839, 0.350], [0.015, 0.511, 0.051], [0.028, 0.014, 0.579], [0.029, 0.515, 0.581], [0.125, 0.058, 0.818], [0.131, 0.548, 0.822], [0.143, 0.553, 0.349], [0.159, 0.225, 0.052], [0.169, 0.729, 0.579], [0.170, 0.229, 0.581], [0.274, 0.264, 0.821], [0.276, 0.754, 0.818], [0.286, 0.267, 0.350], [0.304, 0.940, 0.059], [0.312, 0.942, 0.579], [0.314, 0.443, 0.581], [0.416, 0.477, 0.820], [0.428, 0.981, 0.818], [0.432, 0.982, 0.356], [0.444, 0.653, 0.052], [0.456, 0.657, 0.582], [0.458, 0.157, 0.582], [0.560, 0.690, 0.821], [0.561, 0.194, 0.822], [0.572, 0.696, 0.350], [0.586, 0.367, 0.051], [0.599, 0.372, 0.581], [0.600, 0.872, 0.583], [0.702, 0.406, 0.820], [0.703, 0.906, 0.823], [0.714, 0.410, 0.349], [0.731, 0.082, 0.052], [0.741, 0.587, 0.581], [0.744, 0.087, 0.583], [0.845, 0.122, 0.822], [0.845, 0.618, 0.821], [0.858, 0.125, 0.350], [0.872, 0.796, 0.052], [0.885, 0.300, 0.580], [0.885, 0.800, 0.579], [0.974, 0.830, 0.818], [0.988, 0.335, 0.820]],
  "final_energy_ev_per_cell": -519.8,
  "magnetic_moment_mub_per_cell": 0.15,
  "formation_enthalpy_0k_ev_per_atom": -2.249
}

=====

# 2
{
  "formula": "Ba2YCu4O8",
  "functional": "PBE-GGA",
  "state": "relaxed",
  "cell": [[1.879, -14.514, 0.000], [1.879, 14.514, 0.000], [0.000, 0.000, 3.972]],
  "species": ["Ba", "Ba", "Y", "Cu", "Cu", "Cu", "Cu", "O", "O", "O", "O", "O", "O", "O", "O"],
  "frac_coords": [[0.141, 0.859, 0.000], [0.859, 0.141, 0.000], [0.500, 0.500, 0.000], [0.287, 0.713, 0.500], [0.426, 0.574, 0.500], [0.574, 0.426, 0.500], [0.713, 0.287, 0.500], [0.044, 0.956, 0.500], [0.221, 0.779, 0.500], [0.351, 0.649, 0.500], [0.425, 0.575, 0.000], [0.575, 0.425, 0.000], [0.649, 0.351, 0.500], [0.779, 0.221, 0.500], [0.956, 0.044, 0.500]],
  "final_energy_ev_per_cell": -87.3,
  "magnetic_moment_mub_per_cell": 0.00,
  "formation_enthalpy_0k_ev_per_atom": -1.768
}

=====

# 3
{
  "formula": "Ba2YCu4O6",
  "functional": "PBE-GGA",
  "state": "relaxed",
  "cell": [[1.895, -13.547, 0.000], [1.895, 13.547, 0.000], [0.000, 0.000, 3.964]],
  "species": ["Ba", "Ba", "Y", "Cu", "Cu", "Cu", "Cu", "O", "O", "O", "O", "O", "O"],
  "frac_coords": [[0.143, 0.857, 0.000], [0.857, 0.143, 0.000], [0.000, 0.000, 0.000], [0.289, 0.711, 0.500], [0.440, 0.560, 0.500], [0.560, 0.440, 0.500], [0.711, 0.289, 0.500], [0.217, 0.783, 0.500], [0.361, 0.639, 0.500], [0.448, 0.552, 0.000], [0.552, 0.448, 0.000], [0.639, 0.361, 0.500], [0.783, 0.217, 0.500]],
  "final_energy_ev_per_cell": -76.0,
  "magnetic_moment_mub_per_cell": 0.02,
  "formation_enthalpy_0k_ev_per_atom": -1.827
}

=====

# 4
{
  "formula": "Ba4Y2Cu6O13",
  "functional": "PBE-GGA",
  "state": "relaxed",
  "cell": [[0.000, 3.942, 12.040], [3.852, 0.000, 12.040], [3.852, 3.942, 0.000]],
  "species": ["Ba", "Ba", "Ba", "Ba", "Y", "Y", "Cu", "Cu", "Cu", "Cu", "Cu", "Cu", "O", "O", "O", "O", "O", "O", "O", "O", "O", "O", "O", "O", "O"],
  "frac_coords": [[0.147, 0.662, 0.853], [0.338, 0.853, 0.662], [0.662, 0.147, 0.338], [0.853, 0.338, 0.147], [0.000, 0.500, 0.000], [0.500, 0.000, 0.500], [0.069, 0.567, 0.433], [0.241, 0.759, 0.241], [0.433, 0.931, 0.069], [0.567, 0.069, 0.931], [0.759, 0.241, 0.759], [0.931, 0.433, 0.567], [0.000, 0.000, 0.000], [0.189, 0.189, 0.811], [0.190, 0.190, 0.310], [0.196, 0.653, 0.347], [0.310, 0.310, 0.190], [0.310, 0.310, 0.690], [0.347, 0.804, 0.196], [0.653, 0.196, 0.804], [0.690, 0.690, 0.310], [0.690, 0.690, 0.810], [0.804, 0.347, 0.653], [0.810, 0.810, 0.690], [0.811, 0.811, 0.189]],
  "final_energy_ev_per_cell": -155.7,
  "magnetic_moment_mub_per_cell": 0.00,
  "formation_enthalpy_0k_ev_per_atom": -2.205
}

=====

# 5
{
  "formula": "BaZnCu4O8",
  "functional": "PBE-GGA",
  "state": "relaxed",
  "cell": [[5.310, 0.000, 0.000], [-2.655, 4.598, 0.000], [0.000, 0.000, 7.157]],
  "species": ["Ba", "Zn", "Cu", "Cu", "Cu", "Cu", "O", "O", "O", "O", "O", "O", "O", "O"],
  "frac_coords": [[0.000, 0.000, 0.000], [0.000, 0.000, 0.500], [0.333, 0.667, 0.263], [0.333, 0.667, 0.737], [0.667, 0.333, 0.263], [0.667, 0.333, 0.737], [0.000, 0.312, 0.321], [0.000, 0.688, 0.679], [0.312, 0.000, 0.321], [0.312, 0.312, 0.679], [0.333, 0.667, 0.000], [0.667, 0.333, 0.000], [0.688, 0.000, 0.679], [0.688, 0.688, 0.321]],
  "final_energy_ev_per_cell": -70.0,
  "magnetic_moment_mub_per_cell": 0.39,
  "formation_enthalpy_0k_ev_per_atom": -1.167
}

=====

# 6
{
  "formula": "BaCuP",
  "functional": "PBE-GGA",
  "state": "relaxed",
  "cell": [[4.221, 0.000, 0.000], [-2.110, 3.655, 0.000], [0.000, 0.000, 9.225]],
  "species": ["Ba", "Ba", "Cu", "Cu", "P", "P"],
  "frac_coords": [[0.000, 0.000, 0.000], [0.000, 0.000, 0.500], [0.333, 0.667, 0.250], [0.667, 0.333, 0.750], [0.333, 0.667, 0.750], [0.667, 0.333, 0.250]],
  "final_energy_ev_per_cell": -27.2,
  "formation_enthalpy_0k_ev_per_atom": -0.728
}

=====

# 7
{
  "formula": "BaCu10P4",
  "functional": "PBE-GGA",
  "state": "relaxed",
  "cell": [[11.676, -1.944, 0.000], [11.676, 1.944, 0.000], [-0.425, 0.000, 9.538]],
  "species": ["Ba", "Ba", "Cu", "Cu", "Cu", "Cu", "Cu", "Cu", "Cu", "Cu", "Cu", "Cu", "Cu", "Cu", "Cu", "Cu", "Cu", "Cu", "Cu", "Cu", "Cu", "Cu", "P", "P", "P", "P", "P", "P", "P", "P"],
  "frac_coords": [[0.143, 0.143, 0.283], [0.857, 0.857, 0.717], [0.049, 0.049, 0.572], [0.057, 0.057, 0.952], [0.151, 0.151, 0.648], [0.167, 0.167, 0.928], [0.277, 0.277, 0.932], [0.286, 0.286, 0.465], [0.287, 0.287, 0.198], [0.414, 0.414, 0.228], [0.467, 0.467, 0.882], [0.474, 0.474, 0.618], [0.526, 0.526, 0.382], [0.533, 0.533, 0.118], [0.586, 0.586, 0.772], [0.713, 0.713, 0.802], [0.714, 0.714, 0.535], [0.723, 0.723, 0.068], [0.833, 0.833, 0.072], [0.849, 0.849, 0.352], [0.943, 0.943, 0.048], [0.951, 0.951, 0.428], [0.008, 0.008, 0.234], [0.247, 0.247, 0.690], [0.378, 0.378, 0.998], [0.392, 0.392, 0.463], [0.608, 0.608, 0.537], [0.622, 0.622, 0.002], [0.753, 0.753, 0.310], [0.992, 0.992, 0.766]],
  "final_energy_ev_per_cell": -135.6,
  "magnetic_moment_mub_per_cell": 0.01,
  "formation_enthalpy_0k_ev_per_atom": -0.215
}

=====

# 8
{
  "formula": "BaCu10P4",
  "functional": "PBE-GGA",
  "state": "relaxed",
  "cell": [[11.622, -1.951, 0.000], [11.622, 1.951, 0.000], [-0.455, 0.000, 9.526]],
  "species": ["Ba", "Ba", "Cu", "Cu", "Cu", "Cu", "Cu", "Cu", "Cu", "Cu", "Cu", "Cu", "Cu", "Cu", "Cu", "Cu", "Cu", "Cu", "Cu", "Cu", "Cu", "Cu", "P", "P", "P", "P", "P", "P", "P", "P"],
  "frac_coords": [[0.000, 0.000, 0.000], [0.718, 0.718, 0.433], [0.008, 0.008, 0.368], [0.023, 0.023, 0.648], [0.133, 0.133, 0.649], [0.142, 0.142, 0.180], [0.143, 0.143, 0.914], [0.271, 0.271, 0.944], [0.325, 0.325, 0.599], [0.334, 0.334, 0.335], [0.384, 0.384, 0.099], [0.393, 0.393, 0.835], [0.442, 0.442, 0.491], [0.569, 0.569, 0.520], [0.571, 0.571, 0.255], [0.580, 0.580, 0.789], [0.690, 0.690, 0.786], [0.710, 0.710, 0.065], [0.800, 0.800, 0.765], [0.808, 0.808, 0.148], [0.910, 0.910, 0.285], [0.918, 0.918, 0.668], [0.108, 0.108, 0.403], [0.235, 0.235, 0.715], [0.253, 0.253, 0.178], [0.465, 0.465, 0.255], [0.479, 0.479, 0.721], [0.610, 0.610, 0.030], [0.850, 0.850, 0.484], [0.868, 0.868, 0.950]],
  "final_energy_ev_per_cell": -135.7,
  "magnetic_moment_mub_per_cell": 0.01,
  "formation_enthalpy_0k_ev_per_atom": -0.220
}